Record 1
The following is a PBE calculation of an optimized crystal structure of Na2In4Si3Ge4S9O48, from the Materials Project.

Computed properties:
**Formation energy**: -2.01 eV per atom
**Final energy**: -6.15 eV per atom

Lattice parameters (Å, degrees): 8.714 15.091 22.659 90.95 90.67 90.12
Space group P1 (No. 1)
Unique sites:
Na  0.000  0.000  0.000 (multiplicity 1)
Na  0.006  0.002  0.508 (multiplicity 1)
Na  0.030  0.670  0.334 (multiplicity 1)
Na  0.496  0.170  0.834 (multiplicity 1)
Na  0.514  0.501  0.008 (multiplicity 1)
Na  0.520  0.494  0.504 (multiplicity 1)
In  0.000  0.338  0.032 (multiplicity 1)
In  0.006  0.344  0.529 (multiplicity 1)
In  0.007  0.682  0.488 (multiplicity 1)
In  0.008  0.015  0.354 (multiplicity 1)
In  0.015  0.999  0.853 (multiplicity 1)
In  0.022  0.676  0.190 (multiplicity 1)
In  0.495  0.178  0.690 (multiplicity 1)
In  0.507  0.501  0.355 (multiplicity 1)
In  0.511  0.516  0.852 (multiplicity 1)
In  0.515  0.181  0.987 (multiplicity 1)
In  0.520  0.839  0.533 (multiplicity 1)
In  0.521  0.844  0.025 (multiplicity 1)
Si  0.152  0.153  0.757 (multiplicity 1)
Si  0.370  0.329  0.590 (multiplicity 1)
Si  0.376  0.655  0.256 (multiplicity 1)
Si  0.644  0.328  0.092 (multiplicity 1)
Si  0.661  0.652  0.752 (multiplicity 1)
Si  0.720  0.340  0.423 (multiplicity 1)
Si  0.804  0.840  0.922 (multiplicity 1)
Si  0.861  0.157  0.255 (multiplicity 1)
Si  0.879  0.827  0.592 (multiplicity 1)
Ge  0.001  0.677  0.978 (multiplicity 1)
Ge  0.012  0.016  0.158 (multiplicity 1)
Ge  0.013  0.013  0.652 (multiplicity 1)
Ge  0.017  0.338  0.809 (multiplicity 1)
Ge  0.507  0.511  0.652 (multiplicity 1)
Ge  0.511  0.840  0.315 (multiplicity 1)
Ge  0.514  0.506  0.160 (multiplicity 1)
Ge  0.518  0.197  0.485 (multiplicity 1)
Ge  0.529  0.184  0.192 (multiplicity 1)
Ge  0.542  0.834  0.809 (multiplicity 1)
Ge  0.989  0.333  0.319 (multiplicity 1)
Ge  0.993  0.682  0.692 (multiplicity 1)
S  0.145  0.488  0.417 (multiplicity 1)
S  0.150  0.828  0.086 (multiplicity 1)
S  0.167  0.536  0.082 (multiplicity 1)
S  0.170  0.197  0.422 (multiplicity 1)
S  0.170  0.855  0.752 (multiplicity 1)
S  0.208  0.509  0.751 (multiplicity 1)
S  0.223  0.165  0.092 (multiplicity 1)
S  0.227  0.841  0.417 (multiplicity 1)
S  0.294  0.342  0.917 (multiplicity 1)
S  0.298  0.669  0.592 (multiplicity 1)
S  0.311  0.009  0.251 (multiplicity 1)
S  0.352  0.694  0.923 (multiplicity 1)
S  0.354  0.034  0.583 (multiplicity 1)
S  0.355  0.356  0.251 (multiplicity 1)
S  0.375  0.988  0.920 (multiplicity 1)
S  0.647  0.987  0.420 (multiplicity 1)
S  0.659  0.701  0.418 (multiplicity 1)
S  0.666  0.031  0.094 (multiplicity 1)
S  0.668  0.362  0.757 (multiplicity 1)
S  0.713  0.004  0.754 (multiplicity 1)
S  0.724  0.670  0.086 (multiplicity 1)
S  0.796  0.168  0.588 (multiplicity 1)
S  0.811  0.503  0.256 (multiplicity 1)
S  0.857  0.865  0.255 (multiplicity 1)
S  0.859  0.534  0.593 (multiplicity 1)
S  0.864  0.200  0.917 (multiplicity 1)
S  0.872  0.488  0.921 (multiplicity 1)
O  0.066  0.252  0.761 (multiplicity 1)
O  0.066  0.576  0.419 (multiplicity 1)
O  0.071  0.104  0.696 (multiplicity 1)
O  0.071  0.917  0.093 (multiplicity 1)
O  0.076  0.785  0.032 (multiplicity 1)
O  0.086  0.883  0.805 (multiplicity 1)
O  0.088  0.441  0.361 (multiplicity 1)
O  0.091  0.569  0.136 (multiplicity 1)
O  0.100  0.236  0.474 (multiplicity 1)
O  0.108  0.104  0.418 (multiplicity 1)
O  0.108  0.429  0.759 (multiplicity 1)
O  0.112  0.587  0.739 (multiplicity 1)
O  0.113  0.445  0.074 (multiplicity 1)
O  0.115  0.440  0.471 (multiplicity 1)
O  0.119  0.761  0.740 (multiplicity 1)
O  0.120  0.083  0.098 (multiplicity 1)
O  0.124  0.097  0.814 (multiplicity 1)
O  0.127  0.244  0.087 (multiplicity 1)
O  0.128  0.921  0.413 (multiplicity 1)
O  0.129  0.776  0.140 (multiplicity 1)
O  0.133  0.593  0.029 (multiplicity 1)
O  0.133  0.759  0.416 (multiplicity 1)
O  0.141  0.247  0.367 (multiplicity 1)
O  0.143  0.913  0.701 (multiplicity 1)
O  0.180  0.687  0.930 (multiplicity 1)
O  0.182  0.035  0.590 (multiplicity 1)
O  0.189  0.354  0.261 (multiplicity 1)
O  0.193  0.673  0.249 (multiplicity 1)
O  0.195  0.349  0.577 (multiplicity 1)
O  0.196  0.335  0.861 (multiplicity 1)
O  0.200  0.677  0.643 (multiplicity 1)
O  0.204  0.351  0.971 (multiplicity 1)
O  0.204  0.983  0.198 (multiplicity 1)
O  0.208  0.002  0.918 (multiplicity 1)
O  0.214  0.649  0.535 (multiplicity 1)
O  0.221  0.028  0.304 (multiplicity 1)
O  0.294  0.527  0.807 (multiplicity 1)
O  0.307  0.146  0.037 (multiplicity 1)
O  0.311  0.485  0.701 (multiplicity 1)
O  0.312  0.501  0.415 (multiplicity 1)
O  0.315  0.841  0.078 (multiplicity 1)
O  0.319  0.850  0.470 (multiplicity 1)
O  0.322  0.174  0.144 (multiplicity 1)
O  0.322  0.833  0.361 (multiplicity 1)
O  0.334  0.166  0.754 (multiplicity 1)
O  0.336  0.536  0.089 (multiplicity 1)
O  0.339  0.853  0.763 (multiplicity 1)
O  0.341  0.189  0.428 (multiplicity 1)
O  0.379  0.745  0.870 (multiplicity 1)
O  0.383  0.415  0.199 (multiplicity 1)
O  0.385  0.259  0.917 (multiplicity 1)
O  0.386  0.090  0.531 (multiplicity 1)
O  0.390  0.750  0.587 (multiplicity 1)
O  0.392  0.274  0.648 (multiplicity 1)
O  0.395  0.421  0.913 (multiplicity 1)
O  0.395  0.595  0.312 (multiplicity 1)
O  0.399  0.942  0.574 (multiplicity 1)
O  0.401  0.941  0.975 (multiplicity 1)
O  0.402  0.590  0.597 (multiplicity 1)
O  0.404  0.087  0.238 (multiplicity 1)
O  0.406  0.262  0.239 (multiplicity 1)
O  0.409  0.929  0.259 (multiplicity 1)
O  0.415  0.602  0.920 (multiplicity 1)
O  0.418  0.733  0.978 (multiplicity 1)
O  0.431  0.064  0.638 (multiplicity 1)
O  0.432  0.942  0.866 (multiplicity 1)
O  0.445  0.385  0.303 (multiplicity 1)
O  0.454  0.605  0.195 (multiplicity 1)
O  0.456  0.077  0.923 (multiplicity 1)
O  0.457  0.285  0.530 (multiplicity 1)
O  0.459  0.755  0.263 (multiplicity 1)
O  0.464  0.427  0.599 (multiplicity 1)
O  0.560  0.297  0.030 (multiplicity 1)
O  0.560  0.427  0.104 (multiplicity 1)
O  0.566  0.600  0.698 (multiplicity 1)
O  0.570  0.072  0.426 (multiplicity 1)
O  0.571  0.748  0.758 (multiplicity 1)
O  0.581  0.945  0.362 (multiplicity 1)
O  0.590  0.395  0.811 (multiplicity 1)
O  0.590  0.612  0.413 (multiplicity 1)
O  0.593  0.943  0.091 (multiplicity 1)
O  0.599  0.077  0.146 (multiplicity 1)
O  0.599  0.740  0.472 (multiplicity 1)
O  0.602  0.423  0.417 (multiplicity 1)
O  0.607  0.262  0.146 (multiplicity 1)
O  0.609  0.923  0.758 (multiplicity 1)
O  0.615  0.082  0.746 (multiplicity 1)
O  0.622  0.746  0.081 (multiplicity 1)
O  0.622  0.929  0.470 (multiplicity 1)
O  0.626  0.243  0.428 (multiplicity 1)
O  0.626  0.268  0.751 (multiplicity 1)
O  0.627  0.757  0.364 (multiplicity 1)
O  0.633  0.587  0.091 (multiplicity 1)
O  0.635  0.416  0.705 (multiplicity 1)
O  0.650  0.081  0.039 (multiplicity 1)
O  0.651  0.599  0.813 (multiplicity 1)
O  0.676  0.169  0.243 (multiplicity 1)
O  0.687  0.868  0.262 (multiplicity 1)
O  0.689  0.531  0.600 (multiplicity 1)
O  0.691  0.825  0.862 (multiplicity 1)
O  0.693  0.194  0.918 (multiplicity 1)
O  0.697  0.839  0.589 (multiplicity 1)
O  0.698  0.151  0.533 (multiplicity 1)
O  0.703  0.501  0.918 (multiplicity 1)
O  0.707  0.178  0.642 (multiplicity 1)
O  0.710  0.485  0.202 (multiplicity 1)
O  0.716  0.862  0.983 (multiplicity 1)
O  0.721  0.520  0.309 (multiplicity 1)
O  0.796  0.017  0.810 (multiplicity 1)
O  0.813  0.986  0.702 (multiplicity 1)
O  0.814  0.361  0.483 (multiplicity 1)
O  0.817  0.686  0.140 (multiplicity 1)
O  0.817  0.995  0.416 (multiplicity 1)
O  0.822  0.655  0.032 (multiplicity 1)
O  0.826  0.326  0.363 (multiplicity 1)
O  0.826  0.340  0.089 (multiplicity 1)
O  0.829  0.694  0.419 (multiplicity 1)
O  0.839  0.019  0.101 (multiplicity 1)
O  0.840  0.369  0.765 (multiplicity 1)
O  0.843  0.667  0.742 (multiplicity 1)
O  0.872  0.097  0.311 (multiplicity 1)
O  0.880  0.583  0.537 (multiplicity 1)
O  0.888  0.920  0.201 (multiplicity 1)
O  0.892  0.085  0.591 (multiplicity 1)
O  0.896  0.244  0.582 (multiplicity 1)
O  0.897  0.257  0.865 (multiplicity 1)
O  0.900  0.746  0.930 (multiplicity 1)
O  0.901  0.435  0.974 (multiplicity 1)
O  0.906  0.583  0.247 (multiplicity 1)
O  0.906  0.772  0.246 (multiplicity 1)
O  0.910  0.424  0.261 (multiplicity 1)
O  0.917  0.762  0.646 (multiplicity 1)
O  0.921  0.923  0.915 (multiplicity 1)
O  0.922  0.445  0.591 (multiplicity 1)
O  0.925  0.238  0.973 (multiplicity 1)
O  0.930  0.111  0.913 (multiplicity 1)
O  0.936  0.448  0.866 (multiplicity 1)
O  0.936  0.579  0.644 (multiplicity 1)
O  0.940  0.896  0.308 (multiplicity 1)
O  0.951  0.253  0.263 (multiplicity 1)
O  0.952  0.577  0.928 (multiplicity 1)
O  0.953  0.111  0.197 (multiplicity 1)
O  0.960  0.798  0.530 (multiplicity 1)
O  0.962  0.926  0.604 (multiplicity 1)

---

Record 2
The following is a PBE calculation of an optimized crystal structure of MgHg3, from the Materials Project.

Computed properties:
**Formation energy**: -0.06 eV per atom
**Final energy**: -0.69 eV per atom

Lattice parameters (Å, degrees): 4.420 4.420 9.856 90.00 90.00 90.00
Space group I4/mmm (No. 139)
Unique sites:
Mg  0.000  0.000  0.000 (multiplicity 2)
Hg  0.000  0.000  0.500 (multiplicity 2)
Hg  0.000  0.500  0.250 (multiplicity 4)

---

Record 3
The following is a PBE calculation of an optimized crystal structure of K2HI2ClO6, from the Materials Project.

Computed properties:
**Formation energy**: -1.30 eV per atom
**Final energy**: -4.31 eV per atom

Lattice parameters (Å, degrees): 15.187 6.674 8.774 90.00 90.00 90.00
Space group Pca2_1 (No. 29)
Unique sites:
K  0.015  0.020  0.000 (multiplicity 4)
K  0.236  0.558  0.007 (multiplicity 4)
H  0.108  0.286  0.737 (multiplicity 4)
I  0.034  0.505  0.260 (multiplicity 4)
I  0.218  0.065  0.268 (multiplicity 4)
Cl  0.124  0.776  0.728 (multiplicity 4)
O  0.042  0.263  0.726 (multiplicity 4)
O  0.055  0.451  0.060 (multiplicity 4)
O  0.114  0.189  0.330 (multiplicity 4)
O  0.127  0.666  0.304 (multiplicity 4)
O  0.195  0.015  0.067 (multiplicity 4)
O  0.213  0.290  0.753 (multiplicity 4)

---

Record 4
The following is a PBE calculation of an optimized crystal structure of UAl2, from the Materials Project.

Computed properties:
**Formation energy**: -0.16 eV per atom
**Final energy**: -6.42 eV per atom

Lattice parameters (Å, degrees): 7.721 7.721 7.721 90.00 90.00 90.00
Space group Fd-3m (No. 227, origin choice 2)
Unique sites:
U  0.125  0.125  0.125 (multiplicity 8)
Al  0.000  0.000  0.500 (multiplicity 16)

---

Record 5
The following is a PBE calculation of an optimized crystal structure of LaAl12O19, from the Materials Project.

Computed properties:
**Formation energy**: -3.39 eV per atom
**Final energy**: -7.47 eV per atom
**Excess energy over the best structure of this formula in the dataset**: 21.9 meV per atom

Lattice parameters (Å, degrees): 5.652 9.761 22.359 90.00 90.00 90.00
Space group Cmc2_1 (No. 36)
Unique sites:
La  0.000  0.166  0.000 (multiplicity 4)
Al  0.000  0.166  0.278 (multiplicity 4)
Al  0.000  0.166  0.726 (multiplicity 4)
Al  0.000  0.167  0.442 (multiplicity 4)
Al  0.000  0.167  0.563 (multiplicity 4)
Al  0.000  0.331  0.144 (multiplicity 4)
Al  0.000  0.332  0.860 (multiplicity 4)
Al  0.000  0.499  0.014 (multiplicity 4)
Al  0.000  0.500  0.252 (multiplicity 4)
Al  0.246  0.084  0.144 (multiplicity 8)
Al  0.249  0.083  0.860 (multiplicity 8)
O  0.000  0.004  0.102 (multiplicity 4)
O  0.000  0.004  0.902 (multiplicity 4)
O  0.000  0.167  0.195 (multiplicity 4)
O  0.000  0.167  0.809 (multiplicity 4)
O  0.000  0.320  0.503 (multiplicity 4)
O  0.000  0.344  0.304 (multiplicity 4)
O  0.000  0.345  0.699 (multiplicity 4)
O  0.000  0.500  0.101 (multiplicity 4)
O  0.000  0.500  0.399 (multiplicity 4)
O  0.226  0.090  0.503 (multiplicity 8)
O  0.231  0.423  0.199 (multiplicity 8)
O  0.233  0.422  0.804 (multiplicity 8)
O  0.243  0.247  0.102 (multiplicity 8)
O  0.243  0.248  0.903 (multiplicity 8)

---

Record 6
The following is a PBE calculation of an optimized crystal structure of TmSnPt, from the Materials Project.

Computed properties:
**Formation energy**: -1.08 eV per atom
**Final energy**: -5.94 eV per atom

Lattice parameters (Å, degrees): 7.4958 7.4958 3.9625 90.00 90.00 120.00
Space group P-62m (No. 189)
Unique sites:
Tm  0.0000  0.4047  0.0000 (multiplicity 3)
Sn  0.0000  0.7401  0.5000 (multiplicity 3)
Pt  0.0000  0.0000  0.0000 (multiplicity 1)
Pt  0.3333  0.6667  0.5000 (multiplicity 2)

---

Record 7
The following is a PBE calculation of an optimized crystal structure of Tm2OsRh, from the Materials Project.

Computed properties:
**Formation energy**: -0.58 eV per atom
**Final energy**: -7.47 eV per atom

Lattice parameters (Å, degrees): 6.745 6.745 6.745 90.00 90.00 90.00
Space group Fm-3m (No. 225)
Unique sites:
Tm  0.250  0.250  0.250 (multiplicity 8)
Os  0.000  0.000  0.000 (multiplicity 4)
Rh  0.000  0.000  0.500 (multiplicity 4)

---

Record 8
The following is a PBE calculation of an optimized crystal structure of Ti2NiIr, from the Materials Project.

Computed properties:
**Formation energy**: -0.64 eV per atom
**Final energy**: -8.24 eV per atom

Lattice parameters (Å, degrees): 6.127 6.127 6.127 90.00 90.00 90.00
Space group Fm-3m (No. 225)
Unique sites:
Ti  0.250  0.250  0.250 (multiplicity 8)
Ni  0.000  0.000  0.000 (multiplicity 4)
Ir  0.000  0.000  0.500 (multiplicity 4)

---

Record 9
The following is a PBE calculation of an optimized crystal structure of La11Ni4Ge6, from the Materials Project.

Computed properties:
**Formation energy**: -0.67 eV per atom
**Final energy**: -5.68 eV per atom
**Excess energy over the best structure of this formula in the dataset**: 7.6 meV per atom

Lattice parameters (Å, degrees): 18.643 4.417 14.283 90.00 106.48 90.00
Space group Cm (No. 8)
Unique sites:
La  0.000  0.000  0.000 (multiplicity 2)
La  0.017  0.500  0.242 (multiplicity 2)
La  0.066  0.500  0.808 (multiplicity 2)
La  0.117  0.000  0.468 (multiplicity 2)
La  0.163  0.500  0.093 (multiplicity 2)
La  0.210  0.000  0.718 (multiplicity 2)
La  0.255  0.500  0.378 (multiplicity 2)
La  0.310  0.500  0.945 (multiplicity 2)
La  0.327  0.000  0.186 (multiplicity 2)
La  0.377  0.500  0.693 (multiplicity 2)
La  0.450  0.000  0.494 (multiplicity 2)
Ni  0.100  0.500  0.617 (multiplicity 2)
Ni  0.221  0.500  0.569 (multiplicity 2)
Ni  0.412  0.500  0.143 (multiplicity 2)
Ni  0.415  0.000  0.043 (multiplicity 2)
Ge  0.038  0.000  0.641 (multiplicity 2)
Ge  0.152  0.000  0.243 (multiplicity 2)
Ge  0.175  0.000  0.943 (multiplicity 2)
Ge  0.289  0.000  0.545 (multiplicity 2)
Ge  0.405  0.000  0.860 (multiplicity 2)
Ge  0.422  0.500  0.327 (multiplicity 2)

---

Record 10
The following is a PBE calculation of an optimized crystal structure of EuAs3, from the Materials Project.

Computed properties:
**Formation energy**: -0.63 eV per atom
**Final energy**: -6.69 eV per atom

Lattice parameters (Å, degrees): 5.884 6.004 6.072 79.23 71.07 75.54
Space group P-1 (No. 2)
Unique sites:
Eu  0.160  0.178  0.148 (multiplicity 2)
As  0.278  0.504  0.521 (multiplicity 2)
As  0.285  0.082  0.618 (multiplicity 2)
As  0.312  0.642  0.096 (multiplicity 2)